The following is a DFT calculation (PBE) of a relaxed BaCuSO crystal.

As for the spin magnetization: 0.07 μB/f.u. Its formation energy is -163 kJ per mole of atoms.

Unit cell a=6.663 b=6.663 c=6.144 alpha=90.00 beta=90.00 gamma=145.30
Atoms (fractional coordinates):
1 Ba 0.104 0.896 0.750
2 Ba 0.896 0.104 0.250
3 Cu 0.397 0.603 0.750
4 Cu 0.603 0.397 0.250
5 S 0.184 0.816 0.250
6 S 0.816 0.184 0.750
7 O 0.500 0.500 0.000
8 O 0.500 0.500 0.500

***

The following is a DFT calculation (PBE) of a relaxed Ba3CuSb2O9 crystal.

As for the spin magnetization: 0.99 μB/f.u. Its formation energy is -226 kJ per mole of atoms.

Unit cell a=5.887 b=5.887 c=14.576 alpha=90.00 beta=90.00 gamma=120.00
Atoms (fractional coordinates):
1 Ba 0.000 0.000 0.000
2 Ba 0.000 0.000 0.500
3 Ba 0.333 0.667 0.168
4 Ba 0.333 0.667 0.863
5 Ba 0.667 0.333 0.363
6 Ba 0.667 0.333 0.668
7 Cu 0.333 0.667 0.404
8 Cu 0.667 0.333 0.904
9 Sb 0.000 0.000 0.257
10 Sb 0.000 0.000 0.757
11 Sb 0.333 0.667 0.592
12 Sb 0.667 0.333 0.092
13 O 0.021 0.510 0.510
14 O 0.162 0.323 0.333
15 O 0.162 0.838 0.333
16 O 0.166 0.331 0.672
17 O 0.166 0.834 0.672
18 O 0.323 0.162 0.833
19 O 0.331 0.166 0.172
20 O 0.490 0.510 0.510
21 O 0.490 0.979 0.510
22 O 0.510 0.021 0.010
23 O 0.510 0.490 0.010
24 O 0.669 0.834 0.672
25 O 0.677 0.838 0.333
26 O 0.834 0.166 0.172
27 O 0.834 0.669 0.172
28 O 0.838 0.162 0.833
29 O 0.838 0.677 0.833
30 O 0.979 0.490 0.010